(1)
The following is a DFT calculation (meta-GGA r2SCAN) of a relaxed structure of CsY3O5.

ρ = 5.024 g cm⁻³
VASP energy = -146.9 eV per formula unit
ΔH_f (0 K) = -2992.6 kJ/mol of formula units

a b c (Å): 10.4363 3.4898 17.4109
angles (deg): 90.00 90.00 90.00
Fractional coordinates of all 36 atoms:
Cs 0.0299 0.2500 0.1246
Cs 0.4701 0.7500 0.6246
Cs 0.5299 0.2500 0.3754
Cs 0.9701 0.7500 0.8754
Y 0.1053 0.2500 0.6605
Y 0.1507 0.7500 0.4863
Y 0.1868 0.2500 0.3145
Y 0.3132 0.7500 0.8145
Y 0.3493 0.2500 0.9863
Y 0.3947 0.7500 0.1605
Y 0.6053 0.2500 0.8395
Y 0.6507 0.7500 0.0137
Y 0.6868 0.2500 0.1855
Y 0.8132 0.7500 0.6855
Y 0.8493 0.2500 0.5137
Y 0.8947 0.7500 0.3395
O 0.0217 0.2500 0.4199
O 0.0698 0.7500 0.2715
O 0.1901 0.7500 0.7136
O 0.2211 0.2500 0.5506
O 0.2296 0.2500 0.8844
O 0.2704 0.7500 0.3844
O 0.2789 0.7500 0.0506
O 0.3099 0.2500 0.2136
O 0.4302 0.2500 0.7715
O 0.4783 0.7500 0.9199
O 0.5217 0.2500 0.0801
O 0.5698 0.7500 0.2285
O 0.6901 0.7500 0.7864
O 0.7211 0.2500 0.9494
O 0.7296 0.2500 0.6156
O 0.7704 0.7500 0.1156
O 0.7789 0.7500 0.4494
O 0.8099 0.2500 0.2864
O 0.9302 0.2500 0.7285
O 0.9783 0.7500 0.5801

***

(2)
The following is a DFT calculation (meta-GGA r2SCAN) of a relaxed structure of CsYbO3.

ρ = 6.684 g cm⁻³
VASP energy = -90.1 eV per formula unit
ΔH_f (0 K) = -1015.4 kJ/mol of formula units

a b c (Å): 4.4468 4.4468 4.4468
angles (deg): 90.00 90.00 90.00
Fractional coordinates of all 5 atoms:
Cs 0.0000 0.0000 0.0000
Yb 0.5000 0.5000 0.5000
O 0.0000 0.5000 0.5000
O 0.5000 0.0000 0.5000
O 0.5000 0.5000 0.0000

***

What is the formula in the second record? CsYbO3

***

Repeat the second record exactly.
The following is a DFT calculation (meta-GGA r2SCAN) of a relaxed structure of CsYbO3.

ρ = 6.684 g cm⁻³
VASP energy = -90.1 eV per formula unit
ΔH_f (0 K) = -1015.4 kJ/mol of formula units

a b c (Å): 4.4468 4.4468 4.4468
angles (deg): 90.00 90.00 90.00
Fractional coordinates of all 5 atoms:
Cs 0.0000 0.0000 0.0000
Yb 0.5000 0.5000 0.5000
O 0.0000 0.5000 0.5000
O 0.5000 0.0000 0.5000
O 0.5000 0.5000 0.0000

***

Among the records above, which one has the highest ΔH_f (0 K)? CsYbO3

***

Which of these has the lowest ΔH_f (0 K)? CsY3O5